[1]
K2SmPCO7 | PBE-GGA | optimized geometry

Cell and atoms, written as extended XYZ:
```
24
Lattice="5.829 0.000 0.000 0.000 7.274 0.000 -0.447 0.000 10.026" Properties=species:S:1:pos:R:3 pbc="T T T"
K 1.335 0.077 2.170
K 1.335 3.560 2.170
K 4.048 3.714 7.855
K 4.048 7.197 7.855
Sm 0.996 1.818 6.290
Sm 4.387 5.455 3.736
P 1.440 5.455 5.733
P 3.943 1.818 4.293
C 1.165 1.818 9.108
C 4.217 5.455 0.917
O -0.006 1.818 8.511
O 0.795 5.455 4.298
O 1.002 4.169 6.481
O 1.002 6.742 6.481
O 1.753 1.818 0.338
O 2.383 1.818 4.446
O 2.211 1.818 8.285
O 3.171 5.455 1.740
O 2.999 5.455 5.579
O 3.630 5.455 9.688
O 4.380 0.532 3.545
O 4.380 3.105 3.545
O 4.588 1.818 5.728
O 5.389 5.455 1.515
```

Results
The value obtained for the formation energy is -2.77 eV per atom. The calculation puts the total energy at -7.0518 eV per atom.

***

[2]
K3SnPCO7 | PBE-GGA | optimized geometry

Cell and atoms, written as extended XYZ:
```
26
Lattice="5.689 0.000 0.000 0.000 7.552 0.000 -0.332 0.000 10.144" Properties=species:S:1:pos:R:3 pbc="T T T"
K 1.206 1.888 4.223
K 1.208 3.793 7.684
K 1.208 7.535 7.684
K 4.149 0.017 2.460
K 4.149 3.759 2.460
K 4.150 5.664 5.921
Sn 1.246 5.664 1.292
Sn 4.110 1.888 8.852
P 1.630 1.888 0.901
P 3.726 5.664 9.243
C 1.347 5.664 4.396
C 4.010 1.888 5.748
O 0.212 5.664 3.742
O 0.670 1.888 9.603
O 1.190 0.621 1.704
O 1.190 3.155 1.704
O 1.345 5.664 5.699
O 2.166 5.664 9.376
O 2.475 5.664 3.740
O 2.881 1.888 6.404
O 3.191 1.888 0.768
O 4.011 1.888 4.445
O 4.166 4.397 8.440
O 4.166 6.930 8.440
O 4.686 5.664 0.541
O 5.144 1.888 6.402
```

Results
The value obtained for the formation energy is -2.26 eV per atom. The calculation puts the total energy at -6.2480 eV per atom.

***

[3]
K2TiPCO7 | PBE-GGA | optimized geometry

Cell and atoms, written as extended XYZ:
```
24
Lattice="5.732 0.000 0.000 0.000 6.837 0.000 -0.154 0.000 9.689" Properties=species:S:1:pos:R:3 pbc="T T T"
K 1.382 0.117 2.287
K 1.382 3.301 2.287
K 4.196 3.536 7.401
K 4.196 6.720 7.401
Ti 1.201 1.709 6.165
Ti 4.376 5.128 3.523
P 1.499 5.128 5.468
P 4.079 1.709 4.221
C 1.419 1.709 8.703
C 4.159 5.128 0.986
O 0.273 1.709 8.045
O 0.537 5.128 4.234
O 1.284 3.852 6.312
O 1.284 6.404 6.312
O 1.661 1.709 0.266
O 2.452 1.709 7.881
O 2.601 1.709 4.767
O 2.976 5.128 4.922
O 3.126 5.128 1.807
O 3.916 5.128 9.423
O 4.294 0.433 3.377
O 4.294 2.985 3.377
O 5.041 1.709 5.455
O 5.305 5.128 1.644
```

Results
The value obtained for the formation energy is -2.56 eV per atom. The calculation puts the total energy at -7.1109 eV per atom.

***

[4]
K2YPCO7 | PBE-GGA | optimized geometry

Cell and atoms, written as extended XYZ:
```
24
Lattice="5.839 0.000 0.000 0.000 7.156 0.000 -0.298 0.000 10.022" Properties=species:S:1:pos:R:3 pbc="T T T"
K 1.380 0.083 2.201
K 1.380 3.495 2.201
K 4.162 3.661 7.821
K 4.162 7.072 7.821
Y 1.082 1.789 6.324
Y 4.460 5.367 3.698
P 1.519 5.367 5.705
P 4.022 1.789 4.317
C 1.315 1.789 9.071
C 4.226 5.367 0.951
O 0.140 1.789 8.471
O 0.772 5.367 4.325
O 1.136 4.083 6.485
O 1.136 6.651 6.485
O 1.749 1.789 0.301
O 2.354 1.789 8.241
O 2.477 1.789 4.576
O 3.064 5.367 5.446
O 3.187 5.367 1.781
O 3.792 5.367 9.721
O 4.405 0.505 3.537
O 4.405 3.073 3.537
O 4.770 1.789 5.697
O 5.401 5.367 1.551
```

Results
The value obtained for the formation energy is -2.78 eV per atom. The calculation puts the total energy at -7.2138 eV per atom.

***

[5]
K2PdC4O12 | PBE-GGA | optimized geometry

Cell and atoms, written as extended XYZ:
```
38
Lattice="4.651 0.000 0.000 0.000 13.397 0.000 -2.634 0.000 10.306" Properties=species:S:1:pos:R:3 pbc="T T T"
K 1.098 1.985 0.052
K -0.219 4.714 5.205
K 2.237 8.683 5.101
K 0.919 11.412 10.254
Pd 1.009 0.000 5.153
Pd 2.326 6.698 0.000
C -0.210 1.546 7.136
C 1.107 5.152 1.983
C 0.025 7.215 7.575
C 1.342 12.880 2.422
C 0.675 0.517 7.883
C 1.992 6.182 2.731
C 0.910 8.244 8.322
C 2.227 11.851 3.169
O -0.963 2.304 7.763
O 0.354 4.395 2.611
O 0.659 9.346 1.436
O -0.658 10.749 6.589
O 0.392 9.013 2.593
O -0.925 11.082 7.746
O -0.068 1.574 5.843
O 1.249 5.124 0.690
O 0.684 0.311 3.167
O -0.633 6.387 8.320
O -0.033 7.227 6.327
O 1.284 12.868 1.175
O 0.733 0.529 9.131
O 2.050 6.169 3.978
O 2.650 7.010 1.986
O 1.333 13.085 7.138
O 0.768 8.272 9.615
O 2.086 11.823 4.462
O 2.943 2.315 2.560
O 1.626 4.383 7.712
O 2.675 2.648 3.717
O 1.358 4.051 8.869
O 1.663 9.002 7.695
O 2.980 11.093 2.542
```

Results
The value obtained for the formation energy is -1.09 eV per atom. The calculation puts the total energy at -6.4492 eV per atom.

***

[6]
K2PtC4O10 | PBE-GGA | optimized geometry

Cell and atoms, written as extended XYZ:
```
34
Lattice="6.638 0.000 0.000 0.000 14.122 0.000 -2.203 0.000 5.664" Properties=species:S:1:pos:R:3 pbc="T T T"
K -0.735 2.125 2.779
K -1.837 4.936 5.611
K 6.272 9.186 0.053
K 5.170 11.997 2.885
Pt 2.218 0.000 2.832
Pt 3.319 7.061 0.000
C 0.149 8.653 3.550
C 1.251 12.530 0.718
C 0.487 7.266 2.932
C 1.588 13.917 0.100
C 2.847 0.205 5.564
C 3.948 6.856 2.732
C 3.184 1.592 4.946
C 4.286 5.469 2.114
O -0.296 9.561 2.851
O 0.805 11.622 0.019
O -0.841 0.024 4.572
O 0.261 7.037 1.740
O 0.320 8.718 4.850
O 1.421 12.465 2.018
O 0.346 3.147 5.258
O 1.447 3.914 2.426
O 2.057 0.666 0.952
O 0.956 6.395 3.784
O 3.480 7.727 1.880
O 2.378 13.456 4.712
O 2.988 10.208 3.238
O 4.090 10.975 0.406
O 3.014 1.657 3.647
O 4.116 5.404 0.815
O 4.174 7.086 3.924
O 5.276 14.098 1.092
O 3.630 2.500 5.645
O 4.732 4.561 2.813
```

Results
The value obtained for the formation energy is -1.20 eV per atom. The calculation puts the total energy at -6.3617 eV per atom.

***

[7]
K2SnC4O9 | PBE-GGA | optimized geometry

Cell and atoms, written as extended XYZ:
```
32
Lattice="6.554 0.000 0.000 -1.474 6.427 0.000 -0.546 -1.069 11.835" Properties=species:S:1:pos:R:3 pbc="T T T"
K -0.278 1.372 1.351
K 0.632 3.175 4.973
K 3.902 2.183 6.862
K 4.812 3.986 10.485
Sn 0.726 1.424 9.122
Sn 3.808 3.934 2.713
C -0.581 5.213 7.519
C 1.276 -0.162 6.415
C 1.092 4.530 1.380
C 2.129 4.830 0.233
C 2.405 0.528 11.602
C 3.442 0.828 10.455
C 3.259 5.520 5.420
C 5.115 0.145 4.317
O -0.675 4.008 7.222
O -0.129 4.648 1.153
O 0.680 -0.737 8.698
O -0.030 5.857 5.247
O 1.163 0.593 11.266
O 1.358 1.057 6.822
O 1.911 1.288 3.279
O 1.594 4.103 2.493
O 1.138 3.983 10.925
O 3.396 1.375 0.911
O 2.940 1.255 9.342
O 2.623 4.070 8.556
O 3.177 4.301 5.013
O 3.371 4.765 0.570
O 4.564 -0.499 6.588
O 3.855 6.095 3.137
O 4.663 0.710 10.682
O 5.210 1.350 4.613
```

Results
The value obtained for the formation energy is -1.53 eV per atom. The calculation puts the total energy at -6.6239 eV per atom.

***

[8]
K4Ti2C8O23 | PBE-GGA | optimized geometry

Cell and atoms, written as extended XYZ:
```
148
Lattice="11.617 0.000 0.000 0.000 14.506 0.000 -3.111 0.000 13.715" Properties=species:S:1:pos:R:3 pbc="T T T"
K -0.080 2.026 0.667
K -1.636 5.227 7.525
K 0.555 1.513 8.599
K 2.111 5.740 1.741
K 2.239 7.942 7.977
K 3.795 13.817 1.119
K 4.541 2.981 3.952
K 2.986 4.272 10.810
K 5.520 10.234 2.905
K 3.965 11.525 9.763
K 4.711 0.689 12.596
K 6.267 6.564 5.739
K 6.395 8.766 11.974
K 7.951 12.993 5.116
K 10.142 9.279 6.191
K 8.586 12.480 13.048
Ti -1.190 1.940 5.540
Ti -2.746 5.313 12.398
Ti -1.519 8.672 12.204
Ti 0.037 13.087 5.347
Ti 8.470 1.419 8.369
Ti 10.025 5.834 1.511
Ti 11.252 9.193 1.318
Ti 9.696 12.566 8.175
C -2.319 1.097 11.123
C -0.763 6.156 4.266
C -0.848 7.960 9.471
C 0.708 13.799 2.614
C 0.974 2.903 3.809
C -0.582 4.350 10.666
C 1.316 3.370 5.266
C -0.239 3.883 12.124
C 2.059 10.604 2.234
C 0.503 11.155 9.092
C 2.253 9.088 2.550
C 0.697 12.671 9.408
C 1.800 10.777 5.815
C 0.244 10.982 12.673
C 0.905 9.754 13.383
C 2.461 12.006 6.526
C 6.045 2.500 7.190
C 7.601 4.753 0.332
C 8.262 3.524 1.043
C 6.707 3.729 7.901
C 7.809 1.835 4.308
C 6.253 5.418 11.165
C 8.003 3.351 4.623
C 6.447 3.902 11.481
C 8.745 10.624 1.592
C 7.190 11.136 8.449
C 9.088 10.156 3.049
C 7.533 11.603 9.907
C 7.798 0.707 11.102
C 9.354 6.546 4.244
C 9.269 8.350 9.450
C 10.825 13.409 2.592
O -2.841 9.370 13.307
O -1.285 12.389 6.449
O -1.906 1.548 9.965
O -0.350 5.705 3.107
O -0.159 2.299 3.738
O -1.715 4.954 10.595
O -0.302 0.358 5.765
O -1.858 6.895 12.623
O -1.639 0.970 12.143
O -0.083 6.283 5.285
O 0.874 10.871 1.795
O -0.682 10.888 8.653
O -0.307 7.528 8.431
O 1.249 14.231 1.574
O 1.196 8.365 2.260
O -0.360 13.394 9.118
O 0.352 3.151 6.109
O -1.204 4.102 12.967
O -0.815 10.652 12.012
O 0.741 11.108 5.154
O -0.295 8.116 10.619
O 1.260 13.643 3.761
O 1.769 3.113 2.870
O 0.213 4.140 9.728
O 0.140 8.693 13.337
O 1.696 13.066 6.480
O 1.461 10.366 9.209
O 3.017 11.393 2.351
O 2.250 9.629 5.958
O 0.694 12.130 12.816
O 0.864 3.396 12.386
O 2.420 3.857 5.528
O 3.320 8.630 2.960
O 1.764 13.129 9.818
O 1.306 0.582 12.142
O 2.862 6.671 5.284
O 2.048 1.081 11.292
O 3.603 6.172 4.434
O 4.843 2.310 0.962
O 3.288 4.943 7.820
O 5.106 9.835 0.232
O 3.551 11.924 7.089
O 2.592 7.320 11.492
O 4.148 14.439 4.634
O 3.603 0.514 8.219
O 5.159 6.739 1.362
O 3.347 7.767 12.354
O 4.903 13.992 5.496
O 4.358 0.067 9.081
O 5.914 7.186 2.224
O 4.956 2.582 6.626
O 3.400 4.671 13.484
O 5.218 9.563 5.895
O 3.663 12.196 12.753
O 4.903 8.334 9.281
O 6.459 13.425 2.423
O 5.645 7.835 8.431
O 7.200 13.924 1.574
O 6.742 1.377 3.897
O 5.186 5.876 10.755
O 6.086 10.649 8.187
O 7.642 11.110 1.329
O 7.812 2.376 0.900
O 6.257 4.877 7.757
O 5.489 3.113 11.364
O 7.045 4.140 4.507
O 6.810 1.440 7.236
O 8.366 5.813 0.378
O 8.293 10.366 3.987
O 6.737 11.393 10.845
O 7.246 0.863 9.954
O 8.801 6.390 3.097
O 7.766 3.399 8.561
O 9.321 3.855 1.703
O 9.710 10.404 0.748
O 8.154 11.355 7.606
O 8.866 1.112 4.597
O 7.310 6.141 11.455
O 7.257 0.275 12.142
O 8.813 6.978 5.284
O 9.188 3.618 5.063
O 7.632 3.635 11.920
O 8.589 8.223 8.430
O 10.145 13.536 1.573
O 10.364 7.611 1.093
O 8.808 14.148 7.950
O 10.221 9.552 3.120
O 8.665 12.207 9.978
O 8.856 8.801 10.608
O 10.412 12.958 3.750
O 9.791 2.117 7.266
O 11.347 5.136 0.409
```

Results
The value obtained for the formation energy is -1.48 eV per atom. The calculation puts the total energy at -7.0018 eV per atom.

***

Q: Number 4 is which compound?
A: K2YPCO7